[1]
A relaxed structure of Li4Mn3WO8, computed with PBE with a Hubbard U.

Calculated values
total energy: -6.676 eV per atom
E_form: -2131 meV per atom

abc: 6.0934 6.0936 10.7894
angles: 92.10 74.70 62.12
With the nearest neighbours (Å) after each atom.
Fractional coordinates of all 32 atoms:
Li 0.4999 0.2501 0.7500  6 O 2.40
Li 0.4999 0.7501 0.2500  6 O 2.40
Li 0.5000 0.0000 0.0000  6 O 2.15-2.28
Li 0.5000 0.4999 0.5000  6 O 2.15-2.28
Li 0.0001 0.7499 0.7500  6 O 2.15-2.28
Li 0.0001 0.2499 0.2500  6 O 2.15-2.28
Li 0.0001 0.5000 0.0000  6 O 2.15-2.28
Li 0.0001 0.0000 0.5000  6 O 2.15-2.28
Mn 0.9988 0.2509 0.7504  6 O 2.10-2.25
Mn 0.5004 0.9996 0.5000  6 O 2.11-2.25
Mn 0.4995 0.2508 0.2496  6 O 2.10-2.25
Mn 0.9988 0.7509 0.2504  6 O 2.10-2.25
Mn 0.5004 0.4997 0.0000  6 O 2.11-2.25
Mn 0.4995 0.7507 0.7496  6 O 2.10-2.25
W 0.0002 0.4998 0.5000  6 O 1.98
W 0.0002 0.9998 0.0000  6 O 1.98
O 0.2605 0.3911 0.1303  3 Mn 2.10-2.11, 3 Li 2.28
O 0.2605 0.8910 0.6304  3 Mn 2.10-2.11, 3 Li 2.28
O 0.7393 0.6092 0.8697  3 Mn 2.10-2.11, 3 Li 2.28
O 0.7393 0.1091 0.3696  3 Mn 2.10-2.11, 3 Li 2.28
O 0.2165 0.6606 0.8869  1 W 1.98, 2 Li 2.15
O 0.2165 0.1606 0.3869  1 W 1.98, 2 Li 2.15
O 0.7740 0.3818 0.6077  1 W 1.98, 2 Li 2.15
O 0.7740 0.8818 0.1077  1 W 1.98, 2 Li 2.15
O 0.7739 0.1025 0.8871  1 W 1.98, 2 Li 2.15
O 0.7740 0.6025 0.3870  1 W 1.98, 2 Li 2.15
O 0.7846 0.3390 0.1129  1 W 1.98, 2 Li 2.15
O 0.7846 0.8390 0.6130  1 W 1.98, 2 Li 2.15
O 0.2259 0.6183 0.3923  1 W 1.98, 2 Li 2.15
O 0.2259 0.1183 0.8923  1 W 1.98, 2 Li 2.15
O 0.2263 0.8966 0.1131  1 W 1.98, 2 Li 2.15
O 0.2263 0.3966 0.6131  1 W 1.98, 2 Li 2.15

***

[2]
A relaxed structure of Ca2PdWO6, computed with PBE with a Hubbard U.

Calculated values
space group: Pmm2, No. 25
total energy: -6.548 eV per atom
E_form: -2220 meV per atom
ΔE to the lowest computed polymorph: 1.3 meV/atom

abc: 5.6030 6.1225 8.1442
angles: 90.00 90.00 90.00
With the nearest neighbours (Å) after each atom.
Fractional coordinates of all 20 atoms:
Ca 0.0000 0.5749 0.7397  5 O 2.34-2.61
Ca 0.0000 0.5749 0.2603  5 O 2.34-2.61
Ca 0.5000 0.0781 0.7569  3 O 2.33-2.46
Ca 0.5000 0.0781 0.2431  3 O 2.33-2.46
Pd 0.5000 0.4778 0.0000  6 O 2.13-2.32
Pd 0.0000 0.9882 0.5000  6 O 2.14-2.30
W 0.0000 0.9653 0.0000  6 O 1.92-1.97
W 0.5000 0.4771 0.5000  6 O 1.92-1.97
O 0.2594 0.1701 0.0000  1 W 1.92
O 0.7406 0.1701 0.0000  1 W 1.92
O 0.7764 0.7166 0.0000  1 W 1.97, 1 Pd 2.13
O 0.2236 0.7166 0.0000  1 W 1.97, 1 Pd 2.13
O 0.2697 0.2348 0.5000  1 W 1.97, 1 Pd 2.14
O 0.7303 0.2348 0.5000  1 W 1.97, 1 Pd 2.14
O 0.2450 0.6872 0.5000  1 W 1.92
O 0.7550 0.6872 0.5000  1 W 1.92
O 0.0000 0.9555 0.7625  1 W 1.93, 1 Pd 2.15
O 0.0000 0.9555 0.2375  1 W 1.93, 1 Pd 2.15
O 0.5000 0.4585 0.7374  1 W 1.94, 1 Pd 2.14
O 0.5000 0.4585 0.2626  1 W 1.94, 1 Pd 2.14

***

[3]
A relaxed structure of Li2VAsCO7, computed with PBE with a Hubbard U.

Calculated values
total energy: -6.706 eV per atom
E_form: -2129 meV per atom

abc: 6.5978 10.2221 8.7849
angles: 86.13 90.00 90.00
With the nearest neighbours (Å) after each atom.
Fractional coordinates of all 48 atoms:
Li 0.5068 0.1081 0.2056  3 O 2.03-2.25
Li 0.5068 0.6079 0.2055  3 O 2.03-2.25
Li 0.9932 0.1081 0.2056  3 O 2.03-2.25
Li 0.9932 0.6079 0.2055  3 O 2.03-2.25
Li 0.4932 0.3919 0.7943  3 O 2.03-2.25
Li 0.4932 0.8920 0.7945  3 O 2.03-2.25
Li 0.0068 0.3919 0.7943  3 O 2.03-2.25
Li 0.0068 0.8920 0.7945  3 O 2.03-2.25
V 0.7500 0.8983 0.3351  6 O 1.98-2.11
V 0.2500 0.6016 0.6648  6 O 1.98-2.11
V 0.7500 0.3983 0.3351  6 O 1.98-2.10
V 0.2500 0.1017 0.6649  6 O 1.98-2.10
As 0.2500 0.3590 0.4178  4 O 1.71-1.73
As 0.2500 0.8587 0.4181  4 O 1.71-1.73
As 0.7500 0.1410 0.5821  4 O 1.72-1.73
As 0.7500 0.6413 0.5819  4 O 1.71-1.73
C 0.7500 0.3656 0.0559  3 O 1.26-1.33
C 0.7500 0.8657 0.0559  3 O 1.26-1.33
C 0.2500 0.1345 0.9441  3 O 1.26-1.33
C 0.2500 0.6342 0.9440  3 O 1.27-1.33
O 0.2500 0.1524 0.0852  1 C 1.26
O 0.2500 0.6523 0.0851  1 C 1.27
O 0.7500 0.3477 0.9148  1 C 1.26
O 0.7500 0.8477 0.9149  1 C 1.26
O 0.7500 0.4826 0.1098  1 C 1.32
O 0.7500 0.9828 0.1097  1 C 1.32
O 0.2500 0.0175 0.8902  1 C 1.32
O 0.2500 0.5172 0.8903  1 C 1.32
O 0.7500 0.2671 0.1630  1 C 1.33
O 0.7500 0.7672 0.1630  1 C 1.33
O 0.2500 0.2329 0.8370  1 C 1.33
O 0.2500 0.7328 0.8369  1 C 1.33
O 0.7500 0.0822 0.4020  1 As 1.73
O 0.7500 0.5821 0.4020  1 As 1.73
O 0.2500 0.4178 0.5979  1 As 1.73
O 0.2500 0.9178 0.5980  1 As 1.73
O 0.2500 0.1911 0.4436  1 As 1.72
O 0.2500 0.6909 0.4432  1 As 1.72
O 0.7500 0.3088 0.5565  1 As 1.72
O 0.7501 0.8091 0.5567  1 As 1.72
O 0.0472 0.4155 0.3104  1 As 1.72
O 0.0472 0.9159 0.3112  1 As 1.71
O 0.4528 0.4155 0.3105  1 As 1.71
O 0.4528 0.9159 0.3112  1 As 1.71
O 0.5472 0.0845 0.6896  1 As 1.72
O 0.5472 0.5841 0.6889  1 As 1.71
O 0.9527 0.0845 0.6897  1 As 1.72
O 0.9527 0.5842 0.6889  1 As 1.71

***

[4]
A relaxed structure of Fe3O4F2, computed with PBE with a Hubbard U.

Calculated values
space group: P1, No. 1
total energy: -6.065 eV per atom
E_form: -1777 meV per atom
ΔE to the lowest computed polymorph: 24.6 meV/atom

abc: 5.6121 5.6198 7.4054
angles: 70.74 70.63 70.68
With the nearest neighbours (Å) after each atom.
Fractional coordinates of all 18 atoms:
Fe 0.3069 0.3210 0.1565  4 O 1.94-1.98, 1 F 2.12
Fe 0.6555 0.6652 0.3320  4 O 1.94-1.99, 2 F 2.04-2.07
Fe 0.3461 0.3577 0.6841  4 O 1.92-1.99, 1 F 2.13
Fe 0.6690 0.6878 0.8298  5 O 1.97-2.10, 1 F 2.16
Fe 0.9976 0.0052 0.5043  4 O 1.91-1.94, 2 F 2.07-2.11
Fe 0.0213 0.9698 0.9966  3 O 1.92-1.99, 3 F 2.03-2.07
O 0.3481 0.9667 0.3344  3 Fe 1.94-1.98
O 0.0349 0.6551 0.6671  3 Fe 1.92-1.99
O 0.7689 0.7620 0.0460  3 Fe 1.94-2.06
O 0.2286 0.2161 0.9624  3 Fe 1.92-1.99
O 0.5727 0.5837 0.6197  3 Fe 1.93-2.10
O 0.6482 0.0487 0.6640  3 Fe 1.91-1.99
O 0.9571 0.3558 0.3379  3 Fe 1.93-1.99
O 0.3163 0.6751 0.9969  3 Fe 1.92-1.97
F 0.1085 0.1136 0.6995  3 Fe 2.03-2.16
F 0.4243 0.4282 0.3710  3 Fe 2.04-2.22
F 0.8930 0.8992 0.2983  3 Fe 2.05-2.11
F 0.7031 0.2891 0.9994  3 Fe 2.07-2.16

***

[5]
A relaxed structure of Li4CrP2O9, computed with PBE with a Hubbard U.

Calculated values
space group: C2/m, No. 12
total energy: -6.608 eV per atom
E_form: -2579 meV per atom
ΔE to the lowest computed polymorph: 0.0 meV/atom

abc: 7.9969 7.9969 7.0817
angles: 89.78 89.78 50.08
With the nearest neighbours (Å) after each atom.
Fractional coordinates of all 32 atoms:
Li 0.9021 0.9021 0.7384  2 O 1.84-1.96
Li 0.2460 0.7540 0.5000  4 O 2.12-2.20
Li 0.7540 0.2460 0.5000  4 O 2.12-2.20
Li 0.3751 0.3751 0.1963  2 O 1.84-1.92
Li 0.0000 0.5000 0.0000  4 O 2.13-2.25
Li 0.5000 0.0000 0.0000  4 O 2.13-2.25
Li 0.6249 0.6249 0.8037  2 O 1.84-1.92
Li 0.0979 0.0979 0.2616  2 O 1.84-1.96
Cr 0.5000 0.0000 0.5000  6 O 1.80-2.00
Cr 0.0000 0.5000 0.5000  6 O 1.80-2.00
P 0.8729 0.8729 0.2044  4 O 1.52-1.59
P 0.1271 0.1271 0.7956  4 O 1.52-1.59
P 0.3976 0.3976 0.7419  4 O 1.52-1.59
P 0.6024 0.6024 0.2581  4 O 1.52-1.59
O 0.5617 0.1788 0.6245  1 P 1.59
O 0.5026 0.5026 0.7363  1 P 1.52
O 0.9648 0.9648 0.3115  1 P 1.54
O 0.8705 0.8705 0.9897  1 P 1.52
O 0.0110 0.6233 0.2609  1 P 1.59
O 0.1788 0.5617 0.6245  1 P 1.59
O 0.0352 0.0352 0.6885  1 P 1.54
O 0.6233 0.0110 0.2609  1 P 1.59
O 0.4974 0.4974 0.2637  1 P 1.52
O 0.7621 0.7621 0.5821  2 Cr 1.80
O 0.2379 0.2379 0.4179  2 Cr 1.80
O 0.9890 0.3767 0.7391  1 P 1.59
O 0.3767 0.9890 0.7391  1 P 1.59
O 0.6533 0.6533 0.0680  1 P 1.53
O 0.8212 0.4383 0.3755  1 P 1.59
O 0.4383 0.8212 0.3755  1 P 1.59
O 0.1295 0.1295 0.0103  1 P 1.52
O 0.3467 0.3467 0.9320  1 P 1.53